FeSb3 | PBE-GGA | relaxed

**Energy with MP2020 corrections**: -5.3813 eV/atom

a = 9.1783 Å, b = 9.1783 Å, c = 9.1783 Å
α = 90.00°, β = 90.00°, γ = 90.00°
Closest atoms and distances in Å follow each position.
Space group Im-3 (No. 204)
Symmetry-distinct sites (fractional):
Fe  0.2500  0.2500  0.2500  6 Sb 2.55
Sb  0.0000  0.1597  0.3309  2 Fe 2.55

KCr5Te8 | PBE-GGA | relaxed

**Energy with MP2020 corrections**: -5.8793 eV/atom

a = 20.4869 Å, b = 4.0328 Å, c = 9.6156 Å
α = 90.00°, β = 104.61°, γ = 90.00°
Closest atoms and distances in Å follow each position.
Space group C2/m (No. 12)
Symmetry-distinct sites (fractional):
K  0.0000  0.0000  0.0000  10 Te 3.81-4.05, 2 K 4.03
Cr  0.0000  0.5000  0.5000  6 Te 2.72-2.75
Cr  0.1592  0.0000  0.4865  6 Te 2.71-2.85
Cr  0.2043  0.0000  0.8314  6 Te 2.70-2.83
Te  0.0725  0.0000  0.6628  4 Cr 2.75-2.78
Te  0.0881  0.5000  0.3300  3 Cr 2.71-2.72
Te  0.1704  0.5000  0.9909  3 Cr 2.70-2.73
Te  0.2397  0.5000  0.6580  5 Cr 2.77-2.85

Nb4Fe4Si7 | PBE-GGA | relaxed

**Energy with MP2020 corrections**: -8.0606 eV/atom

a = 12.5912 Å, b = 12.5912 Å, c = 5.0041 Å
α = 90.00°, β = 90.00°, γ = 90.00°
Closest atoms and distances in Å follow each position.
Space group I4/mmm (No. 139)
Symmetry-distinct sites (fractional):
Nb  0.0000  0.1922  0.0000  7 Si 2.64-2.83
Nb  0.1351  0.1351  0.5000  7 Si 2.66-2.83
Fe  0.1495  0.3505  0.2500  6 Si 2.30-2.36, 2 Fe 2.50
Si  0.0000  0.0000  0.2506  2 Si 2.50-2.51, 8 Nb 2.71-2.73
Si  0.0000  0.2971  0.5000  4 Fe 2.36
Si  0.0000  0.4057  0.0000  4 Fe 2.36, 1 Si 2.37
Si  0.2092  0.2092  0.0000  4 Fe 2.30

NaCd2Si3O9 | PBE-GGA | relaxed

**Energy with MP2020 corrections**: -6.7912 eV/atom

a = 7.0340 Å, b = 7.0609 Å, c = 7.9530 Å
α = 95.05°, β = 102.35°, γ = 90.49°
Closest atoms and distances in Å follow each position.
Space group P-1 (No. 2)
Symmetry-distinct sites (fractional):
Na  0.2373  0.1486  0.4336  5 O 2.32-2.56
Cd  0.0892  0.6483  0.8541  6 O 2.28-2.39
Cd  0.4144  0.3662  0.1513  6 O 2.29-2.43
Si  0.0950  0.1609  0.7829  4 O 1.62-1.67
Si  0.2348  0.6474  0.4520  4 O 1.62-1.68
Si  0.4526  0.8474  0.2127  4 O 1.63-1.66
O  0.0036  0.9538  0.8103  1 Si 1.64
O  0.0340  0.7740  0.4033  2 Si 1.67
O  0.1104  0.3316  0.9365  1 Si 1.62
O  0.2072  0.4463  0.3305  1 Si 1.63
O  0.2888  0.6250  0.6577  1 Si 1.62
O  0.3088  0.1160  0.7371  2 Si 1.65
O  0.3512  0.0504  0.1760  1 Si 1.63
O  0.3925  0.6782  0.0556  1 Si 1.63
O  0.4071  0.7804  0.3961  2 Si 1.66-1.68

Gd7Ti8O26 | PBE-GGA | relaxed

**Energy with MP2020 corrections**: -10.7349 eV/atom

a = 7.2167 Å, b = 7.3394 Å, c = 10.2952 Å
α = 89.43°, β = 88.63°, γ = 89.77°
Closest atoms and distances in Å follow each position.
Space group P1 (No. 1)
Symmetry-distinct sites (fractional):
Gd  0.0000  0.0000  0.0000  2 O 2.14-2.31
Gd  0.0036  0.5112  0.0094  3 O 2.16-2.38
Gd  0.2280  0.7694  0.2735  3 O 2.19-2.30
Gd  0.2621  0.2352  0.7402  6 O 2.23-2.45
Gd  0.5115  0.5331  0.5052  4 O 2.16-2.37
Gd  0.5462  0.0205  0.4792  3 O 2.21-2.37
Gd  0.7735  0.2762  0.7338  6 O 2.25-2.49
Ti  0.0243  0.0184  0.5074  6 O 1.93-2.03
Ti  0.0460  0.5247  0.5234  5 O 1.83-1.99
Ti  0.2725  0.7693  0.7663  6 O 1.88-2.10
Ti  0.2760  0.2651  0.2488  6 O 1.96-2.06
Ti  0.5057  0.0509  0.9992  5 O 1.88-2.00
Ti  0.5163  0.4744  0.9991  5 O 1.89-2.02
Ti  0.7546  0.7713  0.7566  5 O 1.88-2.04
Ti  0.7645  0.2336  0.2283  5 O 1.81-2.01
O  0.0107  0.2618  0.8743  4 Gd 2.26-2.31
O  0.0144  0.7611  0.8145  2 Ti 1.92-1.98
O  0.0195  0.2585  0.1642  2 Ti 1.95-2.06
O  0.0248  0.7601  0.1186  3 Gd 2.14-2.19
O  0.0275  0.7690  0.4507  2 Ti 1.93-1.94
O  0.0285  0.2695  0.5888  2 Ti 1.99-2.03
O  0.1864  0.4597  0.3749  2 Ti 1.88-2.03
O  0.2195  0.0730  0.3768  2 Ti 1.96
O  0.2222  0.9698  0.6298  2 Ti 1.96-2.06
O  0.2371  0.5566  0.6343  1 Ti 1.83
O  0.3077  0.9690  0.8818  2 Ti 1.92-1.99
O  0.3219  0.0434  0.1322  2 Ti 1.88-2.05
O  0.3235  0.4822  0.1326  2 Ti 1.93-2.01
O  0.3262  0.5877  0.8906  2 Ti 1.88-1.97
O  0.4964  0.7649  0.3747  3 Gd 2.16-2.22
O  0.5102  0.2637  0.8951  2 Ti 1.89
O  0.5170  0.2621  0.6147  4 Gd 2.23-2.28
O  0.5194  0.7647  0.6729  2 Ti 1.92-2.00
O  0.5239  0.2809  0.3257  2 Ti 1.98-2.01
O  0.7061  0.9487  0.8836  2 Ti 1.88-2.00
O  0.7112  0.0469  0.1215  2 Ti 1.81-1.97
O  0.7152  0.4483  0.1179  2 Ti 1.92-1.97
O  0.7158  0.5631  0.8737  2 Ti 1.95-2.02
O  0.8022  0.5474  0.6049  1 Ti 1.94
O  0.8115  0.9762  0.6272  2 Ti 1.97-2.04
O  0.8331  0.1168  0.3848  2 Ti 1.89-2.02

RbPPbS4 | PBE-GGA | relaxed

**Energy with MP2020 corrections**: -4.7739 eV/atom

a = 17.6590 Å, b = 6.8014 Å, c = 6.5132 Å
α = 90.00°, β = 90.00°, γ = 90.00°
Closest atoms and distances in Å follow each position.
Space group Pnma (No. 62)
Symmetry-distinct sites (fractional):
Rb  0.2059  0.2500  0.0301  7 S 3.43-3.59
P  0.0973  0.7500  0.7816  4 S 2.04-2.07
Pb  0.0184  0.7500  0.2883  6 S 2.95-3.21
S  0.0173  0.2500  0.1539  1 P 2.07
S  0.1208  0.5070  0.6068  1 P 2.05
S  0.1601  0.7500  0.0449  1 P 2.04

Cs3K | PBE-GGA | relaxed

a = 10.6526 Å, b = 10.6526 Å, c = 8.5275 Å
α = 90.00°, β = 90.00°, γ = 120.00°
Closest atoms and distances in Å follow each position.
Space group P6_3/mmc (No. 194)
Symmetry-distinct sites (fractional):
Cs  0.1691  0.3382  0.2500  4 K 5.23-5.33, 8 Cs 5.25-5.40
K  0.3333  0.6667  0.7500  12 Cs 5.23-5.33

Rb3TbCl6 | PBE-GGA | relaxed

**Energy with MP2020 corrections**: -4.3139 eV/atom

a = 11.5318 Å, b = 11.5318 Å, c = 11.5318 Å
α = 90.00°, β = 90.00°, γ = 90.00°
Closest atoms and distances in Å follow each position.
Space group Fm-3m (No. 225)
Symmetry-distinct sites (fractional):
Rb  0.0000  0.0000  0.0000  6 Cl 3.12
Rb  0.2500  0.2500  0.2500  12 Cl 4.08
Tb  0.0000  0.0000  0.5000  6 Cl 2.65
Cl  0.0000  0.0000  0.2704  1 Tb 2.65

Pu2C3 | PBE-GGA | relaxed

a = 8.1529 Å, b = 8.1529 Å, c = 8.1529 Å
α = 90.00°, β = 90.00°, γ = 90.00°
Closest atoms and distances in Å follow each position.
Space group I-43d (No. 220)
Symmetry-distinct sites (fractional):
Pu  0.0493  0.4507  0.5493  6 C 2.47-2.59
C  0.0000  0.2500  0.7900  1 C 1.39

LiCu2P3O10 | PBE-GGA | relaxed

**Energy with MP2020 corrections**: -6.9518 eV/atom

a = 4.6980 Å, b = 8.3266 Å, c = 9.3346 Å
α = 90.00°, β = 103.07°, γ = 90.00°
Closest atoms and distances in Å follow each position.
Space group P2_1/m (No. 11)
Symmetry-distinct sites (fractional):
Li  0.0000  0.0000  0.0000  2 O 1.93
Cu  0.0413  0.0642  0.3323  4 O 1.95-2.06
P  0.3368  0.2500  0.8218  4 O 1.51-1.61
P  0.4061  0.7500  0.4539  4 O 1.53-1.62
P  0.4743  0.2500  0.1389  4 O 1.51-1.68
O  0.1616  0.0962  0.8123  1 P 1.51
O  0.2164  0.7500  0.7553  1 P 1.56
O  0.2386  0.5968  0.4709  1 P 1.53
O  0.2872  0.2500  0.4413  1 P 1.55
O  0.3068  0.0971  0.1476  1 P 1.51
O  0.4296  0.7500  0.0234  2 P 1.61-1.68
O  0.4492  0.7500  0.2867  2 P 1.58-1.62

Ti2ZnO4 | PBE-GGA | relaxed

**Energy with MP2020 corrections**: -8.0726 eV/atom

a = 5.9564 Å, b = 5.9564 Å, c = 15.2989 Å
α = 90.00°, β = 90.00°, γ = 120.00°
Closest atoms and distances in Å follow each position.
Space group R3m (No. 160, hexagonal axes)
Symmetry-distinct sites (fractional):
Ti  0.0000  0.0000  0.0000  4 O 1.86-1.88
Ti  0.1746  0.3491  0.4561  6 O 2.05-2.13
Zn  0.0000  0.0000  0.2513  4 O 2.00
Zn  0.0000  0.0000  0.6151  6 O 2.10-2.17
O  0.0000  0.0000  0.3822  1 Zn 2.00, 3 Ti 2.13
O  0.0000  0.0000  0.8781  1 Ti 1.86
O  0.0114  0.5057  0.3732  3 Ti 1.88-2.08
O  0.1752  0.3503  0.1953  2 Zn 2.00-2.10, 2 Ti 2.05

UC2Se2N2O11 | PBE-GGA | relaxed

**Energy with MP2020 corrections**: -6.5135 eV/atom

a = 8.6998 Å, b = 7.8971 Å, c = 23.5070 Å
α = 90.00°, β = 108.34°, γ = 90.00°
Closest atoms and distances in Å follow each position.
Space group P2_1/c (No. 14)
Symmetry-distinct sites (fractional):
U  0.2494  0.1032  0.1271  2 O 1.80
C  0.1076  0.2495  0.2987  1 N 1.18
C  0.3711  0.7113  0.9787  1 N 1.18
Se  0.0585  0.2211  0.9607  4 O 1.67-1.68
Se  0.3773  0.7312  0.7565  4 O 1.66-1.70
N  0.2482  0.2353  0.8212  1 C 1.18
N  0.2640  0.7344  0.9341  1 C 1.18
O  0.0655  0.0846  0.4335  1 Se 1.67
O  0.0838  0.1233  0.1570  1 U 1.80
O  0.0933  0.2243  0.0352  1 Se 1.68
O  0.1254  0.6343  0.5676  1 Se 1.67
O  0.2045  0.1218  0.9407  1 Se 1.68
O  0.2606  0.0997  0.6301  1 U 2.35, 1 O 2.47
O  0.2708  0.5881  0.2477  1 Se 1.68
O  0.3136  0.6212  0.8057  1 Se 1.67
O  0.3500  0.6339  0.6913  1 Se 1.66
O  0.4180  0.0850  0.0988  1 U 1.80
O  0.4204  0.2297  0.2167  1 Se 1.70

| no. | DFT formation energy (meV per atom) |
| --- | --- |
| 1 | -167.0 |
| 2 | -556.3 |
| 3 | -576.5 |
| 4 | -2526.1 |
| 5 | -3653.3 |
| 6 | -966.5 |
| 7 | 57.9 |
| 8 | -2447.2 |
| 9 | -42.6 |
| 10 | -2212.6 |
| 11 | -2809.4 |
| 12 | -522.3 |